# 1
! ScTlF6, optimized geometry, DFT PBE-GGA; values from VASP
&SYSTEM
  ibrav = 0, nat = 8, ntyp = 3
/
ATOMIC_SPECIES
Sc 44.96 Sc.upf
Tl 204.38 Tl.upf
F 19.00 F.upf
ATOMIC_POSITIONS angstrom
Sc 0.0000 0.0000 0.0000
Tl 0.0000 0.0000 7.3703
F -0.5656 -1.6866 6.0924
F -1.7434 -0.3535 8.6481
F -1.1779 1.3331 6.0924
F 1.1778 -1.3331 8.6482
F 1.7434 0.3535 6.0924
F 0.5656 1.6866 8.6482
CELL_PARAMETERS angstrom
2.8093 1.6220 4.9135
-2.8093 1.6220 4.9135
0.0000 -3.2439 4.9135
! Formation energy from the elements = -3.195 eV/atom
! VASP energy = -42.97 eV for the cell shown

---

# 2
! PrCu2O4, optimized geometry, DFT PBE-GGA; values from VASP
&SYSTEM
  ibrav = 0, nat = 14, ntyp = 3
/
ATOMIC_SPECIES
Pr 140.91 Pr.upf
Cu 63.55 Cu.upf
O 16.00 O.upf
ATOMIC_POSITIONS angstrom
Pr 0.0000 1.4724 1.2236
Pr 2.9448 1.4724 3.6709
Cu 1.4724 1.4724 -2.4473
Cu 1.4724 -1.4724 2.4473
Cu 2.9448 0.0000 0.0000
Cu 0.0000 0.0000 4.8945
O 1.2993 0.6237 -0.7394
O 2.0961 0.1731 1.7079
O 1.6455 -0.6237 4.1552
O 2.0961 3.1179 -1.7079
O 0.8487 -0.1731 6.6024
O 1.2993 3.5685 0.7394
O 0.8487 2.7718 3.1866
O 1.6455 2.3211 5.6339
CELL_PARAMETERS angstrom
-2.9448 2.9448 4.8945
2.9448 -2.9448 4.8945
2.9448 2.9448 -4.8945
! Formation energy from the elements = -2.009 eV/atom
! VASP energy = -88.17 eV for the cell shown

---

# 3
! NbAl3SiS5O24, optimized geometry, DFT PBE-GGA; values from VASP
&SYSTEM
  ibrav = 0, nat = 102, ntyp = 5
/
ATOMIC_SPECIES
Nb 92.91 Nb.upf
Al 26.98 Al.upf
Si 28.09 Si.upf
S 32.06 S.upf
O 16.00 O.upf
ATOMIC_POSITIONS angstrom
Nb 0.0000 0.0000 0.0000
Nb 4.2866 7.2162 10.8563
Nb 4.2236 2.3149 3.5749
Al 4.2559 7.2738 15.5889
Al 4.2568 2.3610 19.2006
Al 4.2957 2.4325 8.2259
Al 4.2720 2.3672 14.6925
Al 8.4128 4.8367 7.2846
Al 8.4192 4.7851 11.8642
Al 8.4999 4.8220 18.2871
Al 8.5167 4.8175 1.0109
Al 12.6444 7.3179 4.5943
Si 6.1616 4.6386 9.5626
Si 10.2826 7.1336 2.3888
Si 9.5709 2.0855 2.3859
S 3.0028 5.1063 13.3312
S 2.9997 4.5364 6.0169
S 1.8254 2.3667 16.9303
S 5.5204 5.1924 2.3260
S 6.7471 7.2681 13.3450
S 3.0067 0.2113 6.0330
S 5.4832 4.4843 16.9328
S 7.3564 6.9145 20.5294
S 5.4829 0.2475 16.9325
S 6.7419 2.3601 6.0169
S 7.2343 2.7915 20.5258
S 9.5959 6.9084 9.5871
S 7.2541 2.0686 13.3415
S 9.7484 2.7914 9.5888
S 10.9050 4.7428 20.5218
O 0.9795 1.1687 16.7096
O 3.6593 5.8322 5.8208
O 3.6559 5.7105 12.1141
O 1.0595 1.1122 1.0072
O 3.1917 3.6866 4.8042
O 2.6722 2.6148 15.7358
O 2.7085 2.5328 9.4032
O 3.3109 3.5607 20.3207
O 3.6276 3.8675 7.1747
O 2.6735 2.1099 18.1213
O 3.6330 3.7900 13.5350
O 2.7454 2.2176 2.4977
O 4.8723 5.8176 16.7062
O 1.5690 0.0656 5.8140
O 1.6700 0.1861 12.1281
O 4.8413 5.7248 1.0937
O 5.1767 6.0358 9.8351
O 5.8509 7.0221 14.4989
O 5.8808 7.0394 20.6546
O 5.3021 5.9886 3.5247
O 4.8419 3.8745 18.1244
O 3.2563 1.0998 7.1874
O 4.8841 3.8614 2.4714
O 3.3346 1.1344 13.5411
O 5.0868 3.4874 9.3690
O 3.7009 0.9187 20.3345
O 3.6441 0.8300 4.8097
O 5.2734 3.6252 15.7386
O 6.9258 5.0275 2.0627
O 7.5630 6.0687 19.3362
O 7.5912 6.0925 13.1256
O 7.0194 5.0869 8.3033
O 6.9383 4.6260 17.1445
O 7.9201 6.3178 21.7427
O 5.7872 2.5873 20.3312
O 4.8089 0.8951 9.3972
O 7.9147 6.2670 6.1528
O 4.8424 0.8556 15.7386
O 6.9684 4.5619 10.9431
O 5.9081 2.6327 4.8150
O 5.2074 1.1955 2.5060
O 5.7961 2.2010 13.5541
O 5.2825 1.1112 18.1242
O 5.8534 2.1137 7.1734
O 7.4539 3.5745 21.7412
O 9.0918 6.3153 10.8317
O 9.1106 6.2611 17.1414
O 7.5929 3.5436 6.1828
O 9.2828 6.0025 2.0044
O 7.8835 3.3710 19.3399
O 7.9045 3.3720 13.1468
O 9.5101 6.0520 8.4077
O 7.4328 1.2219 12.1307
O 6.9453 0.1642 1.0142
O 6.9425 0.1092 16.7117
O 7.5587 1.1521 5.8521
O 8.9519 3.4600 1.9940
O 7.8627 1.4314 20.6431
O 11.1000 7.0825 9.7955
O 7.8953 1.4076 14.5096
O 10.0265 4.9903 13.0701
O 9.0934 3.3375 8.4077
O 10.0667 5.0070 19.3336
O 11.2092 6.9408 3.6422
O 10.0089 4.6577 6.2240
O 9.4348 3.5538 17.1439
O 10.0982 4.5321 21.7272
O 9.5444 3.5626 10.8253
O 11.7054 5.9951 14.4909
O 9.0907 1.4316 9.7949
O 9.0532 1.3203 3.6546
O 11.7834 5.9314 20.6684
CELL_PARAMETERS angstrom
8.4622 0.0000 0.0000
4.2285 7.3464 0.0000
0.0241 0.0035 21.9503
! Formation energy from the elements = -2.405 eV/atom
! VASP energy = -694.46 eV for the cell shown
! Total magnetic moment = 0.0 μB per cell

---

# 4
! NaTaO3, optimized geometry, DFT PBE-GGA; values from VASP
&SYSTEM
  ibrav = 0, nat = 10, ntyp = 3
/
ATOMIC_SPECIES
Na 22.99 Na.upf
Ta 180.95 Ta.upf
O 16.00 O.upf
ATOMIC_POSITIONS angstrom
Na 0.0000 2.7749 0.0000
Na 2.7749 0.0000 0.0000
Ta 0.0000 0.0000 1.9953
Ta 2.7749 2.7749 1.9953
O 0.0000 0.0000 0.0000
O 1.1245 1.6504 1.9953
O 1.6504 4.4252 1.9953
O 2.7749 2.7749 0.0000
O 3.8993 1.1245 1.9953
O 4.4252 3.8993 1.9953
CELL_PARAMETERS angstrom
5.5497 0.0000 0.0000
0.0000 5.5497 0.0000
0.0000 0.0000 3.9905
! Formation energy from the elements = -3.064 eV/atom
! VASP energy = -82.57 eV for the cell shown